# Cs2InHgF6

An optimized crystal structure of Cs2InHgF6 (PBE, the Materials Project database).

Geometry as POSCAR:
```
Cs2InHgF6
1.0
6.6621 0.0000 0.0000
3.3311 5.7696 0.0000
3.3311 1.9232 5.4396
F Cs Hg In
6 2 1 1
Cartesian
4.8324 2.7900 4.2138
8.4918 4.9028 1.2258
4.8324 4.9028 1.2258
8.4918 2.7900 4.2138
6.6621 1.7336 1.2258
6.6621 5.9592 4.2138
3.3311 1.9232 1.3599
9.9932 5.7696 4.0797
6.6621 3.8464 2.7198
0.0000 0.0000 0.0000
```

Total energy ... -3.93 eV/atom
ΔE_f ... -2.573 eV per atom
Mass density ... 5.52 g cm⁻³
SG ... Fm-3m, No. 225

***

# Np2S3

An optimized crystal structure of Np2S3 (PBE, the Materials Project database).

Geometry as POSCAR:
```
Np2S3
1.0
3.8757 0.0000 0.0000
0.0000 10.3451 0.0000
0.0000 0.0000 10.5262
Np S
8 12
Cartesian
2.9068 5.0907 7.2272
2.9068 8.4479 5.3421
2.9068 7.0697 0.0791
0.9689 5.2543 3.2990
2.9068 0.0818 1.9641
0.9689 10.2633 8.5621
0.9689 3.2753 10.4471
0.9689 1.8972 5.1840
2.9068 0.5692 6.5771
0.9689 6.5270 5.8002
2.9068 3.8181 4.7260
2.9068 4.6033 1.3140
0.9689 9.7759 3.9491
0.9689 5.7417 9.2122
0.9689 3.0729 7.6678
0.9689 2.0997 2.4048
2.9068 1.3544 9.9890
2.9068 8.2454 8.1214
0.9689 8.9906 0.5371
2.9068 7.2722 2.8583
```

Total energy ... -9.14 eV/atom
ΔE_f ... -1.776 eV per atom
Mass density ... 8.97 g cm⁻³
SG ... Pnma, No. 62

***

# SrSn2Hg2

An optimized crystal structure of SrSn2Hg2 (PBE, the Materials Project database).

Geometry as POSCAR:
```
SrSn2Hg2
1.0
-2.8360 -2.1141 5.9270
2.2574 -2.2530 6.1212
-0.1036 6.7953 7.5755
Hg Sn Sr
4 4 2
Cartesian
-0.3609 -2.0567 7.9898
-0.3214 4.4850 11.6339
-0.5241 -1.2043 12.8779
-0.1582 3.6326 6.7458
-0.2958 0.8709 8.3766
-0.3865 1.5573 11.2471
-0.5107 -3.4003 10.9576
-0.1716 5.8286 8.6661
-0.5540 1.2460 15.4136
-0.1283 1.1822 4.2101
```

Total energy ... -2.40 eV/atom
ΔE_f ... -0.341 eV per atom
Mass density ... 8.22 g cm⁻³
SG ... C2/m, No. 12

***

# Er5CuPb3

An optimized crystal structure of Er5CuPb3 (PBE, the Materials Project database).

Geometry as POSCAR:
```
Er5CuPb3
1.0
-1.7671 6.5243 6.0974
-6.0901 -1.9435 -6.4808
-2.8181 -4.4991 3.9974
Cu Pb Er
2 6 10
Cartesian
-1.4090 -2.2496 1.9987
0.0000 0.0000 0.0000
-1.7764 2.8327 4.6979
-4.5096 -4.1389 0.4483
-4.3986 -2.3036 -2.9317
-3.7958 0.6775 0.8485
-2.8088 -0.8075 5.3969
-6.8796 -0.5957 2.7655
-4.6491 0.8791 -2.2881
-4.6172 1.4522 3.9034
-6.5771 2.2990 0.7128
-3.2081 3.7017 1.9047
-2.2429 -1.6157 -0.6377
-4.0983 -2.2172 2.9012
-6.6654 -4.8269 -1.8457
-1.1509 0.5232 2.5395
-3.4343 1.5020 7.5553
-6.0582 -1.3704 -0.2894
```

Total energy ... -4.70 eV/atom
ΔE_f ... -0.471 eV per atom
Mass density ... 10.59 g cm⁻³
SG ... P6_3/mcm, No. 193

***

# RbInSe2

An optimized crystal structure of RbInSe2 (PBE, the Materials Project database).

Geometry as POSCAR:
```
RbInSe2
1.0
-3.7131 -7.1804 -1.9487
7.4258 -3.4531 -1.4408
1.7775 -7.3238 14.7634
Se Rb In
16 8 8
Cartesian
-2.7234 -8.8289 1.7670
1.1903 -10.6512 1.0084
0.3751 -8.7282 4.8586
2.2262 -5.1369 5.8194
5.4360 -10.9940 12.4305
1.7279 -9.2629 13.1379
-0.7679 -5.0425 2.7932
6.2581 -12.9147 8.5807
3.7624 -8.6943 -1.7640
0.0543 -6.9632 -1.0566
4.2999 -7.3060 10.3654
2.3409 -11.0935 9.3391
3.2640 -12.8203 5.5544
3.1493 -6.8637 2.0348
8.2137 -9.1283 9.6068
5.1151 -9.2290 6.5153
1.4499 -7.7472 8.0691
-0.4136 -11.3222 7.0334
-0.1758 -12.6286 11.4044
5.9039 -6.6350 4.3405
1.9516 -3.6200 0.7508
3.5387 -14.3372 10.6230
5.6660 -5.3286 -0.0306
4.0403 -10.2101 3.3047
3.5075 -9.6696 11.2279
6.1246 -7.9081 8.5557
-1.7091 -6.5701 0.8574
1.9827 -8.2876 0.1459
-0.6343 -10.0491 2.8181
4.2786 -11.4786 7.5918
7.1993 -11.3871 10.5165
1.2116 -6.4786 3.7820
```

Total energy ... -3.60 eV/atom
ΔE_f ... -1.151 eV per atom
Mass density ... 4.22 g cm⁻³
SG ... C2/c, No. 15

***

# CsGdZnTe3

An optimized crystal structure of CsGdZnTe3 (PBE, the Materials Project database).

Geometry as POSCAR:
```
CsGdZnTe3
1.0
2.2612 -8.4938 0.0000
2.2612 8.4938 0.0000
0.0000 0.0000 11.8496
Zn Gd Te Cs
2 2 6 2
Cartesian
2.2612 0.6798 8.8872
2.2612 -0.6798 2.9624
0.0000 0.0000 5.9248
0.0000 0.0000 0.0000
2.2612 2.0697 6.6200
2.2612 2.0697 11.1544
2.2612 7.5085 8.8872
2.2612 -7.5085 2.9624
2.2612 -2.0697 0.6952
2.2612 -2.0697 5.2296
2.2612 -4.1479 8.8872
2.2612 4.1479 2.9624
```

Total energy ... -5.39 eV/atom
ΔE_f ... -1.323 eV per atom
Mass density ... 5.39 g cm⁻³
SG ... Cmcm, No. 63

***

# SnH6C4S2N2

An optimized crystal structure of SnH6C4S2N2 (PBE, the Materials Project database).

Geometry as POSCAR:
```
SnH6C4S2N2
1.0
0.0000 0.0000 -5.7527
0.0000 -8.2584 0.0000
-10.5217 0.0000 0.0000
C Sn S H N
8 2 4 12 4
Cartesian
-7.8913 -8.2136 -1.9870
-4.7043 -2.0646 -0.5553
-9.9651 -6.1938 -5.1974
-7.8913 -4.1739 -1.9870
-0.5566 -2.0646 -0.5553
-5.8174 -6.1938 -5.1974
-2.6304 -0.0447 -3.7657
-2.6304 -4.0845 -3.7657
-7.8913 -6.1938 -2.6585
-2.6304 -2.0646 -3.0942
-10.3142 -2.0646 -4.9019
-5.0534 -6.1938 -0.8508
-0.2075 -6.1938 -0.8508
-5.4683 -2.0646 -4.9019
-3.5304 -7.8362 -3.3574
-7.8913 -0.0091 -0.8948
-7.8913 -4.1201 -0.8948
-6.9913 -0.4222 -2.3954
-2.6304 -8.2492 -4.8580
-8.7912 -0.4222 -2.3954
-2.6304 -4.1383 -4.8580
-6.9913 -3.7070 -2.3954
-1.7305 -7.8362 -3.3574
-8.7912 -3.7070 -2.3954
-3.5304 -4.5513 -3.3574
-1.7305 -4.5513 -3.3574
-1.1093 -2.0646 -1.6107
-9.4124 -6.1938 -4.1420
-4.1515 -2.0646 -1.6107
-6.3702 -6.1938 -4.1420
```

Total energy ... -5.74 eV/atom
ΔE_f ... -0.109 eV per atom
Mass density ... 1.76 g cm⁻³
SG ... Pmmn, No. 59

***

# ScC6O6F9

An optimized crystal structure of ScC6O6F9 (PBE, the Materials Project database).

Geometry as POSCAR:
```
ScC6O6F9
1.0
8.3971 0.0000 0.0000
0.0000 9.1629 0.0000
0.0000 0.0000 14.8508
C Sc O F
24 4 24 36
Cartesian
4.6166 0.6330 3.7127
6.3820 0.2075 14.3952
1.1869 4.5556 13.0928
6.3820 0.2075 7.8811
7.2102 4.6073 1.7580
7.2102 9.1371 13.0928
6.1188 0.2124 3.7127
7.2102 4.6073 5.6674
3.7805 8.5299 11.1381
1.1869 4.5556 9.1834
7.2102 9.1371 9.1834
4.6166 3.9485 11.1381
1.1869 0.0258 1.7580
3.7805 5.2145 3.7127
1.1869 0.0258 5.6674
2.0150 4.7890 7.8811
2.0150 8.9554 0.4557
6.3820 4.3740 0.4557
2.0150 8.9554 6.9697
2.0150 4.7890 14.3952
6.1188 4.3690 11.1381
6.3820 4.3740 6.9697
2.2783 8.9505 11.1381
2.2783 4.7939 3.7127
0.2398 2.3839 3.7127
0.2398 2.1975 11.1381
8.1573 6.9654 3.7127
8.1573 6.7790 11.1381
7.2356 5.7777 5.2066
6.3793 8.1447 3.7127
7.7691 3.5755 5.2014
7.2356 7.9668 9.6443
1.1614 3.3853 12.6320
7.7691 1.0060 9.6494
1.1614 1.1962 5.2066
0.6279 5.5874 12.6269
2.0177 1.0183 11.1381
6.9356 1.1750 3.7127
7.2356 5.7777 2.2189
0.6279 8.1570 5.2014
1.1614 1.1962 2.2189
7.2356 7.9668 12.6320
7.7691 1.0060 12.6269
7.7691 3.5755 2.2240
1.1614 3.3853 9.6443
1.4614 7.9879 11.1381
6.3793 5.5997 11.1381
2.0177 3.5632 3.7127
6.9356 3.4065 11.1381
0.6279 8.1570 2.2240
1.4614 5.7565 3.7127
0.6279 5.5874 9.6494
5.2965 3.6080 0.7331
4.6207 4.1500 3.7127
4.6207 0.4315 11.1381
3.1006 8.1895 6.6923
3.7763 8.7314 3.7127
4.0479 7.7846 10.0329
1.2548 5.4549 0.4661
4.3492 1.3784 4.8180
5.2965 3.6080 6.6923
2.4287 3.6374 0.1093
3.1006 5.5549 14.1177
5.9684 8.2188 0.1093
3.1006 8.1895 0.7331
3.7763 5.0130 11.1381
5.2965 0.9734 8.1585
4.3492 3.2031 12.2434
2.4287 3.6374 7.3162
3.1006 5.5549 8.1585
4.3492 1.3784 2.6074
7.1423 3.7081 7.8915
7.1423 3.7081 14.3848
2.4287 0.9441 14.7416
4.0479 5.9599 2.6074
7.1423 0.8734 6.9594
4.0479 5.9599 4.8180
7.1423 0.8734 0.4661
4.3492 3.2031 10.0329
5.9684 8.2188 7.3162
1.2548 8.2895 14.3848
5.2965 0.9734 14.1177
1.2548 8.2895 7.8915
2.4287 0.9441 7.5347
5.9684 5.5256 7.5347
4.0479 7.7846 12.2434
5.9684 5.5256 14.7416
1.2548 5.4549 6.9594
```

Total energy ... -6.61 eV/atom
ΔE_f ... -2.045 eV per atom
Mass density ... 2.23 g cm⁻³
SG ... Pbcm, No. 57